1.
# Tb2Mo4O15 (PBE+U, optimized geometry)
data_Tb2Mo4O15
_symmetry_space_group_name_H-M 'P 1 21/c 1'
_symmetry_Int_Tables_number 14
_cell_length_a 6.9552
_cell_length_b 9.7470
_cell_length_c 10.8400
_cell_angle_alpha 90.00
_cell_angle_beta 105.00
_cell_angle_gamma 90.00
loop_
_symmetry_equiv_pos_as_xyz
'x,y,z'
'-x,-y,-z'
'-x,y+1/2,-z+1/2'
'x,-y+1/2,z+1/2'
loop_
_atom_site_label
_atom_site_fract_x
_atom_site_fract_y
_atom_site_fract_z
_atom_site_occupancy
Tb1 0.2068 0.0235 0.2747 1
Mo1 0.0804 0.7429 0.0100 1
Mo2 0.3830 0.0942 0.8445 1
O1 0.0274 0.1276 0.3992 1
O2 0.1144 0.1663 0.1003 1
O3 0.1272 0.0519 0.8151 1
O4 0.2187 0.6499 0.9190 1
O5 0.2412 0.6364 0.6165 1
O6 0.3855 0.2240 0.3493 1
O7 0.4558 0.0270 0.7109 1
O8 0.5000 0.0000 0.0000 1
# crystal system: monoclinic

=====

2.
# NaMn3O4 (PBE+U, optimized geometry)
data_NaMn3O4
_symmetry_space_group_name_H-M 'C 1 2/c 1'
_symmetry_Int_Tables_number 15
_cell_length_a 6.4410
_cell_length_b 8.7550
_cell_length_c 6.4054
_cell_angle_alpha 90.00
_cell_angle_beta 93.68
_cell_angle_gamma 90.00
loop_
_symmetry_equiv_pos_as_xyz
'x,y,z'
'-x,-y,-z'
'-x,y,-z+1/2'
'x,-y,z+1/2'
'x+1/2,y+1/2,z'
'-x+1/2,-y+1/2,-z'
'-x+1/2,y+1/2,-z+1/2'
'x+1/2,-y+1/2,z+1/2'
loop_
_atom_site_label
_atom_site_fract_x
_atom_site_fract_y
_atom_site_fract_z
_atom_site_occupancy
Na1 0.0000 0.0000 0.0000 1
Mn1 0.0000 0.5000 0.0000 1
Mn2 0.2492 0.2509 0.2484 1
O1 0.9996 0.2708 0.9999 1
O2 0.2242 0.5001 0.2243 1
# crystal system: monoclinic

=====

3.
# Mn6PbO12 (PBE+U, optimized geometry)
data_Mn6PbO12
_symmetry_space_group_name_H-M 'C 1 2/m 1'
_symmetry_Int_Tables_number 12
_cell_length_a 13.8318
_cell_length_b 9.0137
_cell_length_c 9.7489
_cell_angle_alpha 90.00
_cell_angle_beta 133.64
_cell_angle_gamma 90.00
loop_
_symmetry_equiv_pos_as_xyz
'x,y,z'
'-x,-y,-z'
'-x,y,-z'
'x,-y,z'
'x+1/2,y+1/2,z'
'-x+1/2,-y+1/2,-z'
'-x+1/2,y+1/2,-z'
'x+1/2,-y+1/2,z'
loop_
_atom_site_label
_atom_site_fract_x
_atom_site_fract_y
_atom_site_fract_z
_atom_site_occupancy
Mn1 0.1454 0.0000 0.4732 1
Mn2 0.1473 0.3340 0.4798 1
Mn3 0.1638 0.1662 0.8152 1
Mn4 0.1668 0.5000 0.8184 1
Pb1 0.0000 0.2709 0.0000 1
O1 0.0441 0.0000 0.7219 1
O2 0.0440 0.3332 0.7242 1
O3 0.1519 0.5000 0.6096 1
O4 0.1537 0.1668 0.6098 1
O5 0.1552 0.1710 0.3473 1
O6 0.1601 0.5000 0.3576 1
O7 0.2017 0.1707 0.0550 1
O8 0.2053 0.5000 0.0561 1
# crystal system: monoclinic

=====

4.
# LiFe2OF5 (PBE+U, optimized geometry)
data_LiFe2OF5
_symmetry_space_group_name_H-M 'P 1'
_symmetry_Int_Tables_number 1
_cell_length_a 4.5631
_cell_length_b 8.6816
_cell_length_c 8.7007
_cell_angle_alpha 60.17
_cell_angle_beta 89.75
_cell_angle_gamma 89.55
loop_
_symmetry_equiv_pos_as_xyz
'x,y,z'
loop_
_atom_site_label
_atom_site_fract_x
_atom_site_fract_y
_atom_site_fract_z
_atom_site_occupancy
Li1 0.0000 0.0000 0.0000 1
Li2 0.0218 0.6661 0.6668 1
Li3 0.5068 0.3297 0.3338 1
Fe1 0.0352 0.3429 0.0133 1
Fe2 0.4941 0.6712 0.9802 1
Fe3 0.5332 0.3166 0.6902 1
Fe4 0.5332 0.9673 0.3416 1
Fe5 0.9968 0.0204 0.6576 1
Fe6 0.9977 0.6546 0.3400 1
O1 0.2510 0.5523 0.9017 1
O2 0.7764 0.7695 0.4365 1
O3 0.7772 0.1182 0.7695 1
F1 0.2517 0.9005 0.5485 1
F2 0.2548 0.5365 0.5578 1
F3 0.2579 0.2239 0.8972 1
F4 0.2581 0.8945 0.8769 1
F5 0.2594 0.8774 0.2241 1
F6 0.2790 0.2236 0.5583 1
F7 0.2786 0.5639 0.2183 1
F8 0.2818 0.2059 0.2287 1
F9 0.7486 0.4468 0.1132 1
F10 0.7499 0.1038 0.4413 1
F11 0.7498 0.4369 0.4516 1
F12 0.7709 0.7875 0.7735 1
F13 0.7720 0.4344 0.7938 1
F14 0.7781 0.7624 0.1091 1
F15 0.7806 0.1151 0.1195 1
# magnetization: 10.00 μB per formula unit
# crystal system: triclinic
# energy above the lowest structure with this stoichiometry: 45 meV per atom

=====

| no. | energy of formation from the pure elements (meV per atom) |
| --- | --- |
| 1 | -2522 |
| 2 | -1986 |
| 3 | -1854 |
| 4 | -2521 |